VASP calculation (GGA-PBE) on an optimized crystal structure of CeSe2.

The structure belongs to space group P2_12_12 (No. 18); the cell edges are 19.1662, 19.2996 and 8.7274 Å and the angles 90.00°, 90.00° and 90.00°. The distinct sites, in fractional coordinates, are Ce at (0.0766, 0.1548, 0.2600), Ce at (0.0979, 0.7008, 0.0290), Ce at (0.1553, 0.9237, 0.2363), Ce at (0.2005, 0.5973, 0.5280), Se at (0.0377, 0.2640, 0.0811), Se at (0.0443, 0.8799, 0.4057), Se at (0.1100, 0.6390, 0.7489), Se at (0.1203, 0.0440, 0.0910), Se at (0.1383, 0.6089, 0.2482), Se at (0.1793, 0.8162, 0.0408), Se at (0.1837, 0.1792, 0.4569) and Se at (0.2361, 0.4629, 0.5817).

As for the volume: 67.26 Å³ per atom. The total energy is -259.7 eV/cell. The calculation puts the formation energy at -137 kJ/mol of atoms.